[1]
The following is a DFT calculation (GGA-PBE) of a relaxed structure of VCuN2.

abc: 5.3415 6.2868 5.3007
angles: 90.00 90.00 90.00
Atoms (fractional coordinates):
1 V 0.9182 0.8816 0.4904
2 V 0.0818 0.1184 0.9904
3 V 0.5818 0.3816 0.9904
4 V 0.4182 0.6184 0.4904
5 Cu 0.4041 0.1350 0.5200
6 Cu 0.9041 0.3650 0.5200
7 Cu 0.0959 0.6350 0.0200
8 Cu 0.5959 0.8650 0.0200
9 N 0.9149 0.3627 0.8992
10 N 0.4149 0.1373 0.8992
11 N 0.9335 0.8887 0.8403
12 N 0.5665 0.3887 0.3403
13 N 0.5851 0.8627 0.3992
14 N 0.0851 0.6373 0.3992
15 N 0.4335 0.6113 0.8403
16 N 0.0665 0.1113 0.3403

Summary:
Space-group type: Pna2_1
MP2020-corrected energy: -127.943 eV for the cell shown
Total magnetic moment: 0.0 μB per formula unit
Energy: -7.816 eV/atom

***

[2]
The following is a DFT calculation (GGA-PBE) of a relaxed structure of RbBi3F10.

abc: 8.5953 8.5953 8.5953
angles: 60.00 60.00 60.00
Atoms (fractional coordinates):
1 F 0.1701 0.8299 0.5000
2 F 0.8871 0.8871 0.8871
3 F 0.5000 0.1701 0.5000
4 F 0.5000 0.8299 0.1701
5 F 0.8871 0.8871 0.3388
6 F 0.8299 0.5000 0.1701
7 F 0.8299 0.5000 0.5000
8 F 0.5000 0.5000 0.1701
9 F 0.5000 0.8299 0.5000
10 F 0.8299 0.1701 0.5000
11 F 0.1129 0.1129 0.1129
12 F 0.1701 0.5000 0.8299
13 F 0.1129 0.6612 0.1129
14 F 0.3388 0.8871 0.8871
15 F 0.1129 0.1129 0.6612
16 F 0.5000 0.5000 0.8299
17 F 0.1701 0.5000 0.5000
18 F 0.6612 0.1129 0.1129
19 F 0.8871 0.3388 0.8871
20 F 0.5000 0.1701 0.8299
21 Rb 0.2500 0.2500 0.2500
22 Rb 0.7500 0.7500 0.7500
23 Bi 0.2407 0.2407 0.7593
24 Bi 0.7593 0.2407 0.7593
25 Bi 0.2407 0.7593 0.2407
26 Bi 0.7593 0.2407 0.2407
27 Bi 0.2407 0.7593 0.7593
28 Bi 0.7593 0.7593 0.2407

Summary:
Space-group type: Fm-3m
MP2020-corrected energy: -143.247 eV for the cell shown
Energy: -4.786 eV/atom

***

| no. | energy of formation (eV/atom) |
| --- | --- |
| 1 | -0.532 |
| 2 | -2.845 |